No. 1
VASP calculation (PBE) on crystalline Na6Ca5NbP3S6O36 at its relaxed geometry.

Properties
Magnetization in μB per cell: 0.00
Energy relative to the elements in eV/atom: -2.5875
DFT total energy in eV/cell: -1480.0
Crystal system: monoclinic

a = 16.0963 Å, b = 9.2480 Å, c = 23.5934 Å
α = 90.00°, β = 90.19°, γ = 90.00°
With the nearest neighbours (Å) after each atom.
Space group Cc (No. 9)
Symmetry-distinct sites (fractional):
Na  0.0000  0.0186  0.0000 [4 per cell]  3 O 2.43-2.58
Na  0.0081  0.3623  0.7455 [4 per cell]  5 O 2.43-2.69
Na  0.1741  0.1301  0.9198 [4 per cell]  5 O 2.34-2.59
Na  0.1790  0.4809  0.1567 [4 per cell]  6 O 2.67-2.84
Na  0.3259  0.3170  0.7331 [4 per cell]  5 O 2.45-2.58
Na  0.3471  0.0217  0.3322 [4 per cell]  4 O 2.51-2.79
Ca  0.0055  0.9998  0.3489 [4 per cell]  6 O 2.29-2.40
Ca  0.0097  0.0074  0.1378 [4 per cell]  6 O 2.25-2.35
Ca  0.1722  0.4889  0.3110 [4 per cell]  6 O 2.21-2.38
Ca  0.3313  0.0016  0.6644 [4 per cell]  4 O 2.22-2.46
Ca  0.3459  0.0084  0.4790 [4 per cell]  5 O 2.15-2.36
Nb  0.1717  0.4976  0.0114 [4 per cell]  5 O 1.90-2.10
P  0.0284  0.3544  0.9082 [4 per cell]  4 O 1.52-1.63
P  0.1875  0.1538  0.0679 [4 per cell]  4 O 1.52-1.65
P  0.3360  0.3127  0.5758 [4 per cell]  4 O 1.51-1.64
S  0.0037  0.3026  0.2423 [4 per cell]  4 O 1.46-1.52
S  0.1583  0.1509  0.7452 [4 per cell]  4 O 1.47-1.52
S  0.1736  0.2032  0.4127 [4 per cell]  4 O 1.47-1.51
S  0.3178  0.3551  0.9112 [4 per cell]  4 O 1.47-1.52
S  0.3604  0.3497  0.2422 [4 per cell]  4 O 1.47-1.50
S  0.4977  0.1478  0.0753 [4 per cell]  4 O 1.45-1.55
O  0.0100  0.2135  0.1913 [4 per cell]  1 S 1.46
O  0.0130  0.1968  0.5796 [4 per cell]  1 S 1.46
O  0.0323  0.1877  0.9158 [4 per cell]  1 P 1.55
O  0.0666  0.3993  0.8514 [4 per cell]  1 P 1.53
O  0.0769  0.4034  0.2443 [4 per cell]  1 S 1.50
O  0.0834  0.4244  0.5655 [4 per cell]  1 S 1.55
O  0.0891  0.4176  0.9580 [4 per cell]  1 P 1.63
O  0.0965  0.1150  0.4142 [4 per cell]  1 S 1.49
O  0.0989  0.0984  0.0738 [4 per cell]  1 P 1.52
O  0.1057  0.1143  0.6963 [4 per cell]  1 S 1.47
O  0.1205  0.0995  0.7988 [4 per cell]  1 S 1.49
O  0.1665  0.3145  0.7459 [4 per cell]  1 S 1.52
O  0.1720  0.3053  0.4624 [4 per cell]  1 S 1.51
O  0.1776  0.3301  0.0581 [4 per cell]  1 P 1.65
O  0.1804  0.2857  0.3598 [4 per cell]  1 S 1.47
O  0.2289  0.1000  0.0140 [4 per cell]  1 P 1.52
O  0.2407  0.1431  0.1214 [4 per cell]  1 P 1.53
O  0.2445  0.0908  0.7406 [4 per cell]  1 S 1.50
O  0.2458  0.1036  0.4159 [4 per cell]  1 S 1.49
O  0.2531  0.4074  0.5598 [4 per cell]  1 P 1.64
O  0.2667  0.4162  0.9597 [4 per cell]  1 S 1.52
O  0.2747  0.3878  0.8572 [4 per cell]  1 S 1.48
O  0.2764  0.4198  0.2454 [4 per cell]  1 S 1.50
O  0.3164  0.2424  0.6338 [4 per cell]  1 P 1.55
O  0.3216  0.1957  0.9166 [4 per cell]  1 S 1.48
O  0.3466  0.2035  0.5288 [4 per cell]  1 P 1.51
O  0.3537  0.1884  0.2383 [4 per cell]  1 S 1.50
O  0.4007  0.4218  0.9139 [4 per cell]  1 S 1.47
O  0.4024  0.4098  0.1922 [4 per cell]  1 S 1.47
O  0.4072  0.4217  0.5777 [4 per cell]  1 P 1.53
O  0.4089  0.3817  0.2946 [4 per cell]  1 S 1.49
O  0.4265  0.1039  0.7396 [4 per cell]  1 S 1.52
O  0.4416  0.0820  0.4139 [4 per cell]  1 P 1.52
O  0.4446  0.1146  0.0270 [4 per cell]  1 S 1.45
O  0.4664  0.0843  0.1291 [4 per cell]  1 S 1.49
O  0.4975  0.2876  0.7939 [4 per cell]  1 S 1.48


No. 2
VASP calculation (PBE) on crystalline UGa2 at its relaxed geometry.

Properties
Magnetization in μB per cell: 2.47
Energy relative to the elements in eV/atom: -0.0741
DFT total energy in eV/cell: -17.6
Crystal system: hexagonal

a = 4.2373 Å, b = 4.2373 Å, c = 4.0083 Å
α = 90.00°, β = 90.00°, γ = 120.00°
With the nearest neighbours (Å) after each atom.
Space group P6/mmm (No. 191)
Symmetry-distinct sites (fractional):
U  0.0000  0.0000  0.0000 [1 per cell]  12 Ga 3.16
Ga  0.3333  0.6667  0.5000 [2 per cell]  3 Ga 2.45